Computed, not measured: an optimized crystal structure of HI at the PBE level of DFT.

Values from the calculation:
Uncorrected energy (eV for the cell shown): -78.26
ΔH_f (0 K) (eV per atom): -0.177
Calculated volume (Å³ per atom): 36.854
Theoretical density (g/cm³): 2.88

a = 12.4062 Å, b = 12.3213 Å, c = 9.8694 Å
α = 90.00°, β = 128.58°, γ = 90.00°
Last column: nearest neighbours and their distance in Å.
Space group C2/c (No. 15)
Unique sites:
H (0.0983, 0.1683, 0.0011) (multiplicity 8)  1 I 1.64
H (0.1591, 0.0983, 0.4799) (multiplicity 8)  1 I 1.64
I (0.0048, 0.2605, 0.0036) (multiplicity 8)  1 H 1.64
I (0.2474, 0.0015, 0.4764) (multiplicity 8)  1 H 1.64